First-principles (PBE) data for UIn3 after structural relaxation, as listed in the Materials Project database. Values from VASP.

Cell and atoms, written as Quantum ESPRESSO input:
```
&SYSTEM
  ibrav = 0, nat = 4, ntyp = 2
/
ATOMIC_SPECIES
U 238.03 U.upf
In 114.82 In.upf
CELL_PARAMETERS angstrom
4.6545 0.0000 0.0000
0.0000 4.6545 0.0000
0.0000 0.0000 4.6545
ATOMIC_POSITIONS angstrom
U 0.0000 0.0000 0.0000
In 2.3273 0.0000 2.3273
In 0.0000 2.3273 2.3273
In 2.3273 2.3273 0.0000
```

First-principles (PBE) data for Y3In after structural relaxation, as listed in the Materials Project database. Values from VASP.

Cell and atoms, written as Quantum ESPRESSO input:
```
&SYSTEM
  ibrav = 0, nat = 8, ntyp = 2
/
ATOMIC_SPECIES
Y 88.91 Y.upf
In 114.82 In.upf
CELL_PARAMETERS angstrom
-5.2933 3.0126 -3.2487
-0.4927 -6.5769 2.0374
-2.0847 1.6954 4.9688
ATOMIC_POSITIONS angstrom
Y -1.5952 -1.3109 1.3835
Y -4.4119 -3.0461 0.7938
Y -1.8350 -4.5126 2.3753
Y -6.2754 -0.5580 2.3739
Y -3.4587 1.1772 2.9637
Y -6.0356 2.6437 1.3821
In -3.6564 -2.1088 4.0019
In -4.2142 0.2400 -0.2445
```

! PBE Y3In5, relaxed; values from VASP
! E above lowest polymorph	0.52	eV/f.u.
&SYSTEM
  ibrav = 0, nat = 32, ntyp = 2
/
ATOMIC_SPECIES
Y 88.91 Y.upf
In 114.82 In.upf
CELL_PARAMETERS angstrom
6.8041 0.0000 0.0000
0.0000 10.9728 0.0000
0.0000 0.0000 12.7144
ATOMIC_POSITIONS angstrom
Y 2.3629 8.2296 0.7112
Y 1.0392 8.2296 7.0685
Y 4.4412 2.7432 12.0032
Y 5.7649 2.7432 5.6460
Y 6.0692 5.4558 1.8243
Y 4.1369 0.0306 8.1815
Y 0.7348 10.9422 10.8902
Y 2.6672 5.5170 4.5329
Y 0.7348 5.5170 10.8902
Y 2.6672 10.9422 4.5329
Y 6.0692 0.0306 1.8243
Y 4.1369 5.4558 8.1815
In 4.2206 8.2296 6.3904
In 5.9855 8.2296 0.0332
In 2.5835 2.7432 6.3240
In 0.8186 2.7432 12.6812
In 4.4313 8.2296 3.1703
In 5.7748 8.2296 9.5275
In 2.3727 2.7432 9.5441
In 1.0293 2.7432 3.1869
In 0.8576 8.2296 3.6574
In 2.5445 8.2296 10.0146
In 5.9465 2.7432 9.0570
In 4.2596 2.7432 2.6998
In 5.9589 5.9756 5.1269
In 4.2473 10.4837 11.4841
In 0.8452 0.4891 7.5876
In 2.5568 4.9973 1.2304
In 0.8452 4.9973 7.5876
In 2.5568 0.4891 1.2304
In 5.9589 10.4837 5.1269
In 4.2473 5.9756 11.4841

Number 1: DFT formation energy -0.006 eV per atom, calculated density 9.59 g/cm3. Number 2: DFT formation energy -0.268 eV per atom, calculated density 5.44 g/cm3. Number 3: DFT formation energy -0.416 eV per atom, calculated density 5.88 g/cm3.